No. 1
RbSn3 | PBE | relaxed

Output
Energy relative to the elements in meV/atom: -123
Crystal system: hexagonal
Calculated volume in Å³ per cell: 302

Geometry as POSCAR:
```
RbSn3
1.0
7.957 0.000 0.000
-3.978 6.891 0.000
0.000 0.000 5.504
Rb Sn
2 6
direct
0.333 0.667 0.250
0.667 0.333 0.750
0.129 0.258 0.750
0.129 0.871 0.750
0.258 0.129 0.250
0.742 0.871 0.750
0.871 0.129 0.250
0.871 0.742 0.250
```

No. 2
KAs4H3O12 | PBE | relaxed

Output
Energy relative to the elements in meV/atom: -1627
Crystal system: triclinic
Calculated volume in Å³ per cell: 258

Geometry as POSCAR:
```
KAs4H3O12
1.0
5.249 0.000 0.000
0.692 7.151 0.000
1.458 3.373 6.875
K As H O
1 4 3 12
direct
0.000 0.000 0.000
0.152 0.330 0.310
0.401 0.885 0.428
0.592 0.129 0.568
0.837 0.690 0.679
0.490 0.344 0.718
0.505 0.665 0.283
0.968 0.499 0.981
0.096 0.540 0.107
0.111 0.715 0.506
0.227 0.116 0.257
0.306 0.966 0.625
0.416 0.374 0.395
0.483 0.190 0.770
0.510 0.819 0.230
0.578 0.635 0.602
0.694 0.039 0.377
0.769 0.893 0.745
0.875 0.467 0.887
0.887 0.289 0.499
```

No. 3
B13C2 | PBE | relaxed

Output
Energy relative to the elements in meV/atom: -72
Crystal system: trigonal
Calculated volume in Å³ per cell: 112

Geometry as POSCAR:
```
B13C2
1.0
2.830 1.634 4.040
-2.830 1.634 4.040
0.000 -3.267 4.040
B C
13 2
direct
0.000 0.000 0.000
0.176 0.492 0.492
0.182 0.696 0.696
0.304 0.304 0.818
0.304 0.818 0.304
0.492 0.176 0.492
0.492 0.492 0.176
0.508 0.508 0.824
0.508 0.824 0.508
0.696 0.182 0.696
0.696 0.696 0.182
0.818 0.304 0.304
0.824 0.508 0.508
0.119 0.119 0.119
0.881 0.881 0.881
```

No. 4
AgAu3 | PBE | relaxed

Output
Energy relative to the elements in meV/atom: -39
Crystal system: cubic
Energy above the most stable polymorph in this dataset in meV per atom: 0
Calculated volume in Å³ per cell: 73

Geometry as POSCAR:
```
AgAu3
1.0
4.170 0.000 0.000
0.000 4.170 0.000
0.000 0.000 4.170
Ag Au
1 3
direct
0.000 0.000 0.000
0.000 0.500 0.500
0.500 0.000 0.500
0.500 0.500 0.000
```